! K4MgMo2S2O6 PBE with a Hubbard U optimized geometry; values from VASP
! Excess energy over the best structure of this formula in the dataset = 0 meV/atom
! Calculated volume = 333.55 Å³/cell
! Energy of formation from the pure elements = -1.858 eV/atom
! Calculated total energy = -5.47 eV per atom
! Crystal system = triclinic
! Space-group type = P1, No. 1
! Magnetic moment = 2.00 μB per cell
&SYSTEM
  ibrav = 0, nat = 15, ntyp = 5
/
ATOMIC_SPECIES
K 39.10 K.upf
Mg 24.30 Mg.upf
Mo 95.94 Mo.upf
S 32.06 S.upf
O 16.00 O.upf
CELL_PARAMETERS angstrom
6.182 0.000 0.000
2.073 6.780 0.000
0.248 1.683 7.959
ATOMIC_POSITIONS angstrom
K 0.000 0.000 0.000
K 0.332 1.123 4.315
K 3.099 1.836 1.737
K 5.790 5.361 4.303
Mg 2.213 5.037 6.957
Mo 3.507 2.746 5.473
Mo 5.325 4.562 0.427
S 2.739 4.743 4.475
S 6.143 2.730 1.619
O 2.502 3.064 7.080
O 3.817 5.910 7.830
O 2.941 1.337 4.465
O 5.718 5.990 1.449
O 5.276 2.919 5.794
O 6.856 6.265 6.964

***

! KPrMgWO6 PBE with a Hubbard U optimized geometry; values from VASP
! Calculated volume = 127.31 Å³/cell
! Energy of formation from the pure elements = -2.769 eV/atom
! Calculated total energy = -6.93 eV per atom
! Crystal system = cubic
! Space-group type = F-43m, No. 216
! Magnetic moment = 0.00 μB per cell
&SYSTEM
  ibrav = 0, nat = 10, ntyp = 5
/
ATOMIC_SPECIES
K 39.10 K.upf
Pr 140.91 Pr.upf
Mg 24.30 Mg.upf
W 183.84 W.upf
O 16.00 O.upf
CELL_PARAMETERS angstrom
0.000 3.993 3.993
3.993 0.000 3.993
3.993 3.993 0.000
ATOMIC_POSITIONS angstrom
K 0.000 0.000 0.000
Pr 3.993 3.993 3.993
Mg 1.996 1.996 1.996
W 5.989 5.989 5.989
O 5.989 5.989 4.048
O 5.989 4.048 5.989
O 7.930 5.989 5.989
O 4.048 5.989 5.989
O 5.989 7.930 5.989
O 5.989 5.989 7.930

***

! K4MgV6O16 PBE with a Hubbard U optimized geometry; values from VASP
! Excess energy over the best structure of this formula in the dataset = 61 meV/atom
! Calculated volume = 468.21 Å³/cell
! Energy of formation from the pure elements = -2.363 eV/atom
! Calculated total energy = -6.75 eV per atom
! Crystal system = orthorhombic
! Space-group type = Cmm2, No. 35
! Magnetic moment = 4.02 μB per cell
&SYSTEM
  ibrav = 0, nat = 27, ntyp = 4
/
ATOMIC_SPECIES
K 39.10 K.upf
Mg 24.30 Mg.upf
V 50.94 V.upf
O 16.00 O.upf
CELL_PARAMETERS angstrom
6.313 -6.636 0.000
6.313 6.636 0.000
0.000 0.000 5.588
ATOMIC_POSITIONS angstrom
K 6.313 3.707 0.000
K 4.083 0.000 5.495
K 8.544 0.000 5.495
K 6.313 -3.707 0.000
Mg 0.000 0.000 5.258
V 3.157 3.318 2.522
V 1.737 0.000 2.455
V 6.313 1.671 2.570
V 3.157 -3.318 2.522
V 6.313 -1.671 2.570
V 10.890 0.000 2.455
O 0.000 0.000 1.607
O 3.157 3.318 4.171
O 2.448 1.552 1.923
O 1.600 0.000 4.277
O 4.925 2.534 1.983
O 2.448 -1.552 1.923
O 6.313 1.540 4.238
O 7.702 2.534 1.983
O 3.157 -3.318 4.171
O 6.313 0.000 1.817
O 4.925 -2.534 1.983
O 6.313 -1.540 4.238
O 10.178 1.552 1.923
O 7.702 -2.534 1.983
O 11.027 0.000 4.277
O 10.178 -1.552 1.923

***

! K4MgV6O16 PBE with a Hubbard U optimized geometry; values from VASP
! Excess energy over the best structure of this formula in the dataset = 75 meV/atom
! Calculated volume = 482.37 Å³/cell
! Energy of formation from the pure elements = -2.349 eV/atom
! Calculated total energy = -6.74 eV per atom
! Crystal system = monoclinic
! Space-group type = Cm, No. 8
! Magnetic moment = 0.02 μB per cell
&SYSTEM
  ibrav = 0, nat = 27, ntyp = 4
/
ATOMIC_SPECIES
K 39.10 K.upf
Mg 24.30 Mg.upf
V 50.94 V.upf
O 16.00 O.upf
CELL_PARAMETERS angstrom
6.500 -6.171 0.000
6.500 6.171 0.000
-0.110 0.000 6.013
ATOMIC_POSITIONS angstrom
K 0.000 0.000 0.000
K 4.492 2.110 5.271
K 4.492 -2.110 5.271
K 8.335 0.000 5.248
Mg 12.657 0.000 3.064
V 2.574 0.000 2.209
V 7.152 3.194 2.440
V 5.881 0.000 2.567
V 10.334 1.729 2.278
V 7.152 -3.194 2.440
V 10.334 -1.729 2.278
O 1.269 1.201 2.821
O 5.465 4.148 3.124
O 1.269 -1.201 2.821
O 2.622 0.000 0.519
O 6.916 3.094 0.801
O 4.161 0.000 3.173
O 6.582 1.448 3.264
O 5.970 0.000 0.896
O 8.993 2.644 2.921
O 6.582 -1.448 3.264
O 10.516 1.672 0.597
O 5.465 -4.148 3.124
O 6.916 -3.094 0.801
O 10.246 0.000 2.884
O 8.993 -2.644 2.921
O 10.516 -1.672 0.597

***

! K2MgV2O7 PBE with a Hubbard U optimized geometry; values from VASP
! Calculated volume = 843.76 Å³/cell
! Energy of formation from the pure elements = -2.562 eV/atom
! Calculated total energy = -6.60 eV per atom
! Crystal system = tetragonal
! Space-group type = P4_2/mnm, No. 136
&SYSTEM
  ibrav = 0, nat = 48, ntyp = 4
/
ATOMIC_SPECIES
K 39.10 K.upf
Mg 24.30 Mg.upf
V 50.94 V.upf
O 16.00 O.upf
CELL_PARAMETERS angstrom
8.526 0.000 0.000
0.000 8.526 0.000
0.000 0.000 11.607
ATOMIC_POSITIONS angstrom
K 1.263 1.263 0.000
K 1.548 1.548 5.803
K 2.715 5.811 0.000
K 3.000 5.526 5.803
K 5.526 3.000 5.803
K 5.811 2.715 0.000
K 6.978 6.978 5.803
K 7.263 7.263 0.000
Mg 0.000 4.263 2.902
Mg 0.000 4.263 8.705
Mg 4.263 0.000 2.902
Mg 4.263 0.000 8.705
V 1.210 7.316 3.332
V 1.210 7.316 8.275
V 3.053 3.053 2.471
V 3.053 3.053 9.136
V 5.473 5.473 2.471
V 5.473 5.473 9.136
V 7.316 1.210 3.332
V 7.316 1.210 8.275
O 0.000 0.000 3.995
O 0.000 0.000 7.612
O 0.759 5.760 3.962
O 0.759 5.760 7.645
O 1.203 7.323 1.650
O 1.203 7.323 9.957
O 1.497 3.504 1.841
O 1.497 3.504 9.765
O 2.766 7.767 3.962
O 2.766 7.767 7.645
O 3.060 3.060 4.153
O 3.060 3.060 7.454
O 3.504 1.497 1.841
O 3.504 1.497 9.765
O 4.263 4.263 1.809
O 4.263 4.263 9.798
O 5.022 7.029 1.841
O 5.022 7.029 9.765
O 5.466 5.466 4.153
O 5.466 5.466 7.454
O 5.760 0.759 3.962
O 5.760 0.759 7.645
O 7.029 5.022 1.841
O 7.029 5.022 9.765
O 7.323 1.203 1.650
O 7.323 1.203 9.957
O 7.767 2.766 3.962
O 7.767 2.766 7.645

***

! K4MgV6O16 PBE with a Hubbard U optimized geometry; values from VASP
! Excess energy over the best structure of this formula in the dataset = 75 meV/atom
! Calculated volume = 469.22 Å³/cell
! Energy of formation from the pure elements = -2.349 eV/atom
! Calculated total energy = -6.74 eV per atom
! Crystal system = tetragonal
! Space-group type = P4, No. 75
! Magnetic moment = 2.01 μB per cell
&SYSTEM
  ibrav = 0, nat = 27, ntyp = 4
/
ATOMIC_SPECIES
K 39.10 K.upf
Mg 24.30 Mg.upf
V 50.94 V.upf
O 16.00 O.upf
CELL_PARAMETERS angstrom
8.889 0.000 0.000
0.000 8.889 0.000
0.000 0.000 5.938
ATOMIC_POSITIONS angstrom
K 1.128 2.637 0.000
K 2.637 7.762 0.000
K 6.252 1.128 0.000
K 7.762 6.252 0.000
Mg 4.445 4.445 1.013
V 0.000 0.000 2.758
V 1.235 5.639 2.831
V 3.251 1.235 2.831
V 4.445 4.445 3.372
V 5.639 7.654 2.831
V 7.654 3.251 2.831
O 0.000 0.000 4.427
O 0.000 4.445 2.186
O 0.834 7.204 2.110
O 1.188 5.670 4.511
O 1.685 0.834 2.110
O 2.854 5.169 2.247
O 3.220 1.188 4.511
O 3.720 2.854 2.247
O 4.445 0.000 2.186
O 4.445 4.445 5.134
O 5.169 6.035 2.247
O 5.670 7.701 4.511
O 6.035 3.720 2.247
O 7.204 8.055 2.110
O 7.701 3.220 4.511
O 8.055 1.685 2.110

***

Question: What is the formula in the fourth record?
Answer: K4MgV6O16

***

Repeat the fourth record exactly.
! K4MgV6O16 PBE with a Hubbard U optimized geometry; values from VASP
! Excess energy over the best structure of this formula in the dataset = 75 meV/atom
! Calculated volume = 482.37 Å³/cell
! Energy of formation from the pure elements = -2.349 eV/atom
! Calculated total energy = -6.74 eV per atom
! Crystal system = monoclinic
! Space-group type = Cm, No. 8
! Magnetic moment = 0.02 μB per cell
&SYSTEM
  ibrav = 0, nat = 27, ntyp = 4
/
ATOMIC_SPECIES
K 39.10 K.upf
Mg 24.30 Mg.upf
V 50.94 V.upf
O 16.00 O.upf
CELL_PARAMETERS angstrom
6.500 -6.171 0.000
6.500 6.171 0.000
-0.110 0.000 6.013
ATOMIC_POSITIONS angstrom
K 0.000 0.000 0.000
K 4.492 2.110 5.271
K 4.492 -2.110 5.271
K 8.335 0.000 5.248
Mg 12.657 0.000 3.064
V 2.574 0.000 2.209
V 7.152 3.194 2.440
V 5.881 0.000 2.567
V 10.334 1.729 2.278
V 7.152 -3.194 2.440
V 10.334 -1.729 2.278
O 1.269 1.201 2.821
O 5.465 4.148 3.124
O 1.269 -1.201 2.821
O 2.622 0.000 0.519
O 6.916 3.094 0.801
O 4.161 0.000 3.173
O 6.582 1.448 3.264
O 5.970 0.000 0.896
O 8.993 2.644 2.921
O 6.582 -1.448 3.264
O 10.516 1.672 0.597
O 5.465 -4.148 3.124
O 6.916 -3.094 0.801
O 10.246 0.000 2.884
O 8.993 -2.644 2.921
O 10.516 -1.672 0.597

***

Copy entry 3 word for word.
! K4MgV6O16 PBE with a Hubbard U optimized geometry; values from VASP
! Excess energy over the best structure of this formula in the dataset = 61 meV/atom
! Calculated volume = 468.21 Å³/cell
! Energy of formation from the pure elements = -2.363 eV/atom
! Calculated total energy = -6.75 eV per atom
! Crystal system = orthorhombic
! Space-group type = Cmm2, No. 35
! Magnetic moment = 4.02 μB per cell
&SYSTEM
  ibrav = 0, nat = 27, ntyp = 4
/
ATOMIC_SPECIES
K 39.10 K.upf
Mg 24.30 Mg.upf
V 50.94 V.upf
O 16.00 O.upf
CELL_PARAMETERS angstrom
6.313 -6.636 0.000
6.313 6.636 0.000
0.000 0.000 5.588
ATOMIC_POSITIONS angstrom
K 6.313 3.707 0.000
K 4.083 0.000 5.495
K 8.544 0.000 5.495
K 6.313 -3.707 0.000
Mg 0.000 0.000 5.258
V 3.157 3.318 2.522
V 1.737 0.000 2.455
V 6.313 1.671 2.570
V 3.157 -3.318 2.522
V 6.313 -1.671 2.570
V 10.890 0.000 2.455
O 0.000 0.000 1.607
O 3.157 3.318 4.171
O 2.448 1.552 1.923
O 1.600 0.000 4.277
O 4.925 2.534 1.983
O 2.448 -1.552 1.923
O 6.313 1.540 4.238
O 7.702 2.534 1.983
O 3.157 -3.318 4.171
O 6.313 0.000 1.817
O 4.925 -2.534 1.983
O 6.313 -1.540 4.238
O 10.178 1.552 1.923
O 7.702 -2.534 1.983
O 11.027 0.000 4.277
O 10.178 -1.552 1.923

***

Question: The lowest calculated volume belongs to which entry?
Answer: KPrMgWO6